<i>
The following is a DFT calculation (PBE+U) of a relaxed LiMn3Al2H6O12 crystal.

theoretical density = 3.2 g/cm3
space group = P-1, No. 2

Lattice parameters (Å, degrees): 5.878 7.952 9.691 100.93 89.77 100.94
Atoms (fractional coordinates):
Li1 0.658 0.655 0.500
Li2 0.342 0.345 0.500
Mn1 0.918 0.665 0.007
Mn2 0.082 0.335 0.993
Mn3 0.419 0.664 0.006
Mn4 0.581 0.336 0.994
Mn5 0.250 0.000 0.000
Mn6 0.750 0.000 0.000
Al1 0.169 0.660 0.499
Al2 0.831 0.340 0.501
Al3 0.000 0.000 0.500
Al4 0.500 0.000 0.500
H1 0.211 0.836 0.288
H2 0.711 0.847 0.296
H3 0.970 0.825 0.700
H4 0.888 0.502 0.291
H5 0.446 0.830 0.705
H6 0.112 0.498 0.709
H7 0.359 0.517 0.291
H8 0.030 0.175 0.300
H9 0.641 0.483 0.709
H10 0.554 0.170 0.295
H11 0.789 0.164 0.712
H12 0.289 0.153 0.704
O1 0.198 0.781 0.114
O2 0.216 0.869 0.394
O3 0.721 0.883 0.399
O4 0.698 0.781 0.113
O5 0.969 0.809 0.597
O6 0.968 0.855 0.904
O7 0.898 0.521 0.395
O8 0.865 0.465 0.102
O9 0.467 0.855 0.904
O10 0.135 0.535 0.898
O11 0.436 0.812 0.602
O12 0.102 0.479 0.605
O13 0.031 0.191 0.403
O14 0.364 0.465 0.100
O15 0.369 0.546 0.393
O16 0.032 0.145 0.096
O17 0.636 0.535 0.900
O18 0.631 0.454 0.607
O19 0.564 0.188 0.398
O20 0.533 0.145 0.096
O21 0.802 0.219 0.886
O22 0.784 0.131 0.606
O23 0.279 0.117 0.601
O24 0.302 0.219 0.887

<ii>
The following is a DFT calculation (PBE+U) of a relaxed LiMn3Al2H6O12 crystal.

theoretical density = 3.2 g/cm3
space group = P-1, No. 2

Lattice parameters (Å, degrees): 5.969 7.799 10.119 109.60 89.27 101.64
Atoms (fractional coordinates):
Li1 0.921 0.157 0.503
Li2 0.079 0.843 0.497
Mn1 0.921 0.168 0.003
Mn2 0.579 0.832 0.997
Mn3 0.749 0.499 0.999
Mn4 0.421 0.168 0.003
Mn5 0.079 0.832 0.997
Mn6 0.251 0.501 0.001
Al1 0.586 0.837 0.497
Al2 0.756 0.502 0.501
Al3 0.414 0.163 0.503
Al4 0.244 0.498 0.499
H1 0.999 0.499 0.712
H2 0.812 0.844 0.289
H3 0.001 0.501 0.288
H4 0.644 0.139 0.710
H5 0.813 0.806 0.703
H6 0.662 0.193 0.301
H7 0.492 0.488 0.710
H8 0.356 0.861 0.290
H9 0.508 0.512 0.290
H10 0.188 0.156 0.711
H11 0.338 0.807 0.699
H12 0.187 0.194 0.297
O1 0.850 0.900 0.897
O2 0.008 0.570 0.893
O3 0.989 0.463 0.607
O4 0.828 0.883 0.392
O5 0.992 0.430 0.107
O6 0.011 0.537 0.393
O7 0.629 0.093 0.607
O8 0.677 0.230 0.897
O9 0.792 0.758 0.600
O10 0.665 0.245 0.405
O11 0.811 0.770 0.099
O12 0.644 0.098 0.104
O13 0.506 0.571 0.891
O14 0.486 0.438 0.605
O15 0.356 0.902 0.896
O16 0.514 0.562 0.395
O17 0.494 0.429 0.109
O18 0.371 0.907 0.393
O19 0.189 0.230 0.901
O20 0.172 0.117 0.608
O21 0.335 0.755 0.595
O22 0.208 0.242 0.400
O23 0.150 0.100 0.103
O24 0.323 0.770 0.103

Short version: <ii> is the least stable of them.

<i>
The following is a DFT calculation (PBE+U) of a relaxed K2Cr2O7 crystal.

theoretical density = 2.5 g/cm3
space group = C2/c, No. 15

Lattice parameters (Å, degrees): 7.699 7.699 7.670 88.00 88.00 59.37
Atoms (fractional coordinates):
K1 0.004 0.705 0.856
K2 0.295 0.996 0.644
K3 0.996 0.295 0.144
K4 0.705 0.004 0.356
Cr1 0.778 0.426 0.637
Cr2 0.574 0.222 0.863
Cr3 0.222 0.574 0.363
Cr4 0.426 0.778 0.137
O1 0.863 0.256 0.485
O2 0.744 0.137 0.015
O3 0.137 0.744 0.515
O4 0.256 0.863 0.985
O5 0.958 0.365 0.777
O6 0.635 0.042 0.723
O7 0.042 0.635 0.223
O8 0.365 0.958 0.277
O9 0.569 0.431 0.750
O10 0.431 0.569 0.250
O11 0.702 0.651 0.553
O12 0.349 0.298 0.947
O13 0.298 0.349 0.447
O14 0.651 0.702 0.053

<ii>
The following is a DFT calculation (PBE+U) of a relaxed K2Cr2O7 crystal.

theoretical density = 2.2 g/cm3
space group = C2/m, No. 12

Lattice parameters (Å, degrees): 8.697 8.697 8.141 86.34 86.34 45.44
Atoms (fractional coordinates):
K1 0.354 0.354 0.760
K2 0.632 0.632 0.714
K3 0.368 0.368 0.286
K4 0.646 0.646 0.240
Cr1 0.864 0.864 0.434
Cr2 0.136 0.136 0.566
Cr3 0.871 0.871 0.002
Cr4 0.129 0.129 0.998
O1 0.301 0.895 0.488
O2 0.699 0.105 0.512
O3 0.895 0.301 0.488
O4 0.286 0.886 0.078
O5 0.113 0.113 0.782
O6 0.238 0.238 0.533
O7 0.714 0.114 0.922
O8 0.887 0.887 0.218
O9 0.886 0.286 0.078
O10 0.762 0.762 0.467
O11 0.770 0.770 0.974
O12 0.105 0.699 0.512
O13 0.114 0.714 0.922
O14 0.230 0.230 0.026

Short version: <ii> is the least stable of them.

<i>
The following is a DFT calculation (PBE+U) of a relaxed NiH15IO12 crystal.

theoretical density = 2.2 g/cm3
space group = Pc, No. 7

Lattice parameters (Å, degrees): 5.615 9.827 10.582 90.00 90.00 96.30
Atoms (fractional coordinates):
Ni1 0.773 0.340 0.317
Ni2 0.273 0.840 0.683
H1 0.823 0.903 0.332
H2 0.323 0.403 0.668
H3 0.823 0.602 0.384
H4 0.323 0.102 0.616
H5 0.307 0.647 0.554
H6 0.807 0.147 0.446
H7 0.409 0.589 0.128
H8 0.909 0.089 0.872
H9 0.965 0.858 0.497
H10 0.465 0.358 0.503
H11 0.577 0.468 0.126
H12 0.077 0.968 0.874
H13 0.338 0.694 0.301
H14 0.838 0.194 0.699
H15 0.908 0.640 0.130
H16 0.408 0.140 0.870
H17 0.112 0.085 0.054
H18 0.612 0.585 0.946
H19 0.394 0.016 0.497
H20 0.894 0.516 0.503
H21 0.103 0.254 0.170
H22 0.603 0.754 0.830
H23 0.640 0.874 0.122
H24 0.140 0.374 0.878
H25 0.078 0.660 0.015
H26 0.578 0.160 0.985
H27 0.034 0.390 0.097
H28 0.534 0.890 0.903
H29 0.839 0.770 0.616
H30 0.339 0.270 0.384
I1 0.267 0.931 0.229
I2 0.767 0.431 0.771
O1 0.572 0.568 0.107
O2 0.072 0.068 0.893
O3 0.897 0.519 0.406
O4 0.397 0.019 0.594
O5 0.960 0.847 0.596
O6 0.460 0.347 0.404
O7 0.077 0.666 0.108
O8 0.577 0.166 0.892
O9 0.067 0.354 0.182
O10 0.567 0.854 0.818
O11 0.972 0.869 0.360
O12 0.472 0.369 0.640
O13 0.158 0.107 0.144
O14 0.658 0.607 0.856
O15 0.920 0.544 0.654
O16 0.420 0.044 0.346
O17 0.442 0.780 0.310
O18 0.942 0.280 0.690
O19 0.421 0.711 0.600
O20 0.921 0.211 0.400
O21 0.639 0.311 0.163
O22 0.139 0.811 0.837
O23 0.545 0.947 0.097
O24 0.045 0.447 0.903

<ii>
The following is a DFT calculation (PBE+U) of a relaxed NiH15IO12 crystal.

theoretical density = 2.7 g/cm3
space group = Pc, No. 7

Lattice parameters (Å, degrees): 9.829 5.187 10.657 63.92 90.00 90.00
Atoms (fractional coordinates):
Ni1 0.287 0.039 0.252
Ni2 0.713 0.039 0.752
H1 0.130 0.998 0.532
H2 0.870 0.998 0.032
H3 0.313 0.503 0.667
H4 0.687 0.503 0.167
H5 0.117 0.516 0.822
H6 0.883 0.516 0.322
H7 0.071 0.718 0.392
H8 0.929 0.718 0.892
H9 0.203 0.574 0.482
H10 0.797 0.574 0.982
H11 0.055 0.292 0.258
H12 0.945 0.292 0.758
H13 0.164 0.550 0.187
H14 0.836 0.550 0.687
H15 0.494 0.350 0.098
H16 0.506 0.350 0.598
H17 0.363 0.529 0.021
H18 0.637 0.529 0.521
H19 0.513 0.759 0.235
H20 0.487 0.759 0.735
H21 0.405 0.515 0.322
H22 0.595 0.515 0.822
H23 0.507 0.052 0.398
H24 0.493 0.052 0.898
H25 0.377 0.021 0.494
H26 0.623 0.021 0.994
H27 0.079 0.032 0.091
H28 0.921 0.032 0.591
H29 0.221 0.984 0.027
H30 0.779 0.984 0.527
I1 0.218 0.005 0.750
I2 0.782 0.005 0.250
O1 0.098 0.109 0.581
O2 0.902 0.109 0.081
O3 0.102 0.227 0.796
O4 0.898 0.227 0.296
O5 0.327 0.911 0.905
O6 0.673 0.911 0.405
O7 0.326 0.815 0.673
O8 0.674 0.815 0.173
O9 0.327 0.352 0.632
O10 0.673 0.352 0.132
O11 0.100 0.676 0.851
O12 0.900 0.676 0.351
O13 0.162 0.761 0.421
O14 0.838 0.761 0.921
O15 0.155 0.343 0.249
O16 0.845 0.343 0.749
O17 0.396 0.333 0.081
O18 0.604 0.333 0.581
O19 0.415 0.723 0.260
O20 0.585 0.723 0.760
O21 0.411 0.117 0.396
O22 0.589 0.117 0.896
O23 0.170 0.943 0.114
O24 0.830 0.943 0.614

Short version: <i> is the least stable of them.